1.
# Ba5Y8Zn4O21 (PBE, optimized geometry)
# E_form = -3.225 eV per atom
# Volume = 1120.33 Å³ per cell
# Magnetization = 0.0 μB/cell
# Density = 5.9 g cm⁻³
data_Ba5Y8Zn4O21
_chemical_formula_sum 'Ba10 Y16 Zn8 O42'
_symmetry_space_group_name_H-M 'I 4/m'
_symmetry_Int_Tables_number 87
_symmetry_space_group_name_Hall '-I 4'
_cell_length_a 13.934
_cell_length_b 13.934
_cell_length_c 5.770
_cell_angle_alpha 90.00
_cell_angle_beta 90.00
_cell_angle_gamma 90.00
loop_
_atom_site_label
_atom_site_type_symbol
_atom_site_fract_x
_atom_site_fract_y
_atom_site_fract_z
Ba1 Ba 0.000 0.000 0.000
Ba2 Ba 0.036 0.639 0.500
Y1 Y 0.088 0.142 0.500
Y2 Y 0.168 0.753 0.000
Zn1 Zn 0.040 0.251 0.000
O1 O 0.000 0.000 0.500
O2 O 0.037 0.628 0.000
O3 O 0.048 0.822 0.249
O4 O 0.148 0.257 0.247

2.
# Ba2ZnO6 (PBE, optimized geometry)
# E_form = -1.444 eV per atom
# Volume = 317.25 Å³ per cell
# Magnetization = 12.0 μB/cell
# Density = 4.6 g cm⁻³
data_Ba2ZnO6
_chemical_formula_sum 'Ba4 Zn2 O12'
_symmetry_space_group_name_H-M 'P 1 21 1'
_symmetry_Int_Tables_number 4
_symmetry_space_group_name_Hall 'P 2yb'
_cell_length_a 5.522
_cell_length_b 6.644
_cell_length_c 8.653
_cell_angle_alpha 90.00
_cell_angle_beta 92.21
_cell_angle_gamma 90.00
loop_
_atom_site_label
_atom_site_type_symbol
_atom_site_fract_x
_atom_site_fract_y
_atom_site_fract_z
Ba1 Ba 0.219 0.000 0.489
Ba2 Ba 0.278 0.836 0.007
Zn1 Zn 0.248 0.423 0.251
O1 O 0.026 0.730 0.733
O2 O 0.102 0.683 0.294
O3 O 0.225 0.406 0.019
O4 O 0.281 0.440 0.482
O5 O 0.378 0.160 0.198
O6 O 0.481 0.116 0.760

3.
# BaZnO5 (PBE, optimized geometry)
# E_form = -0.797 eV per atom
# Volume = 1687.96 Å³ per cell
# Magnetization = 0.3 μB/cell
# Density = 3.3 g cm⁻³
data_BaZnO5
_chemical_formula_sum 'Ba12 Zn12 O60'
_symmetry_space_group_name_H-M 'P n a 21'
_symmetry_Int_Tables_number 33
_symmetry_space_group_name_Hall 'P 2c -2n'
_cell_length_a 11.483
_cell_length_b 18.556
_cell_length_c 7.922
_cell_angle_alpha 90.00
_cell_angle_beta 90.00
_cell_angle_gamma 90.00
loop_
_atom_site_label
_atom_site_type_symbol
_atom_site_fract_x
_atom_site_fract_y
_atom_site_fract_z
Ba1 Ba 0.008 0.219 0.000
Ba2 Ba 0.009 0.871 0.005
Ba3 Ba 0.011 0.546 0.593
Zn1 Zn 0.228 0.725 0.754
Zn2 Zn 0.230 0.068 0.797
Zn3 Zn 0.237 0.397 0.848
O1 O 0.006 0.043 0.132
O2 O 0.047 0.707 0.140
O3 O 0.061 0.378 0.458
O4 O 0.097 0.989 0.600
O5 O 0.098 0.014 0.049
O6 O 0.101 0.663 0.052
O7 O 0.115 0.334 0.545
O8 O 0.122 0.344 0.968
O9 O 0.124 0.195 0.288
O10 O 0.127 0.671 0.617
O11 O 0.127 0.855 0.288
O12 O 0.128 0.140 0.772
O13 O 0.133 0.803 0.780
O14 O 0.136 0.474 0.829
O15 O 0.141 0.516 0.313

4.
# Ba2ZnO3 (PBE, optimized geometry)
# E_form = -2.534 eV per atom
# Volume = 875.68 Å³ per cell
# Density = 5.9 g cm⁻³
data_Ba2ZnO3
_chemical_formula_sum 'Ba16 Zn8 O24'
_symmetry_space_group_name_H-M 'C 1 2/c 1'
_symmetry_Int_Tables_number 15
_symmetry_space_group_name_Hall '-C 2yc'
_cell_length_a 5.966
_cell_length_b 11.561
_cell_length_c 12.716
_cell_angle_alpha 90.00
_cell_angle_beta 93.21
_cell_angle_gamma 90.00
loop_
_atom_site_label
_atom_site_type_symbol
_atom_site_fract_x
_atom_site_fract_y
_atom_site_fract_z
Ba1 Ba 0.235 0.205 0.348
Ba2 Ba 0.238 0.104 0.925
Zn1 Zn 0.229 0.498 0.836
O1 O 0.000 0.007 0.250
O2 O 0.000 0.406 0.250
O3 O 0.179 0.329 0.868
O4 O 0.225 0.099 0.535

| no. | total DFT energy (no corrections) (eV/atom) |
| --- | --- |
| 1 | -7.33 |
| 2 | -4.85 |
| 3 | -4.78 |
| 4 | -5.51 |